# Li2MnCo3O8 PBE+U optimized geometry
# M_tot in μB/atom: 0.222
# Energy above the lowest structure with this stoichiometry in eV per atom: 0.113
# E_form in eV/atom: -1.57
data_Li2MnCo3O8
_chemical_formula_sum 'Li4 Mn2 Co6 O16'
_cell_length_a 5.658
_cell_length_b 5.747
_cell_length_c 10.271
_cell_angle_alpha 75.88
_cell_angle_beta 75.13
_cell_angle_gamma 61.56
_space_group_name_H-M_alt 'P -1'
_space_group_IT_number 2
_space_group_name_Hall '-P 1'
loop_
_atom_site_label
_atom_site_type_symbol
_atom_site_fract_x
_atom_site_fract_y
_atom_site_fract_z
Li1 Li 0.245 0.250 0.251
Li2 Li 0.246 0.256 0.749
Mn1 Mn 0.000 0.000 0.500
Mn2 Mn 0.500 0.500 0.000
Co1 Co 0.000 0.000 0.000
Co2 Co 0.000 0.500 0.000
Co3 Co 0.000 0.500 0.500
Co4 Co 0.500 0.000 0.000
Co5 Co 0.500 0.000 0.500
Co6 Co 0.500 0.500 0.500
O1 O 0.130 0.641 0.603
O2 O 0.137 0.142 0.601
O3 O 0.142 0.604 0.110
O4 O 0.144 0.124 0.097
O5 O 0.360 0.895 0.391
O6 O 0.369 0.354 0.406
O7 O 0.372 0.862 0.897
O8 O 0.382 0.346 0.896